(1)
10
Lattice="-1.556 -6.249 3.434 4.890 -3.494 -4.141 2.567 0.701 2.439" Properties=species:S:1:pos:R:3 comment="Ho2Ni2Sn (r²SCAN, optimized geometry)" dft_energy_ev_per_atom=-23.50 crystal_system=tetragonal e_form_ev_per_atom=-0.606 spacegroup="P4/mbm (127)" pbc="T T T"
Ho 1.086 -4.472 2.814
Ho 4.814 -4.569 -1.081
Ho 2.605 -1.876 0.470
Ho 3.296 -7.165 1.263
Ni 0.489 -6.827 1.449
Ni 2.845 -2.915 -2.155
Ni -0.005 -2.794 0.809
Ni 3.338 -6.949 -1.515
Sn 1.667 -4.871 -0.353
Sn 0.000 0.000 0.000



(2)
4
Lattice="0.000 3.372 3.372 3.372 0.000 3.372 3.372 3.372 0.000" Properties=species:S:1:pos:R:3 comment="HoNpRu2 (r²SCAN, optimized geometry)" dft_energy_ev_per_atom=-42.11 crystal_system=cubic e_form_ev_per_atom=-0.420 spacegroup="Fm-3m (225)" pbc="T T T"
Ho 3.372 3.372 3.372
Np 0.000 0.000 0.000
Ru 1.686 1.686 1.686
Ru 5.058 5.058 5.058



(3)
15
Lattice="3.459 0.000 0.000 -1.729 6.817 -1.228 0.000 0.007 8.540" Properties=species:S:1:pos:R:3 comment="Ho2O3 (r²SCAN, optimized geometry)" dft_energy_ev_per_atom=-20.66 crystal_system=monoclinic e_form_ev_per_atom=-3.922 spacegroup="C2/m (12)" pbc="T T T"
Ho 0.000 0.456 6.862
Ho 1.729 2.604 0.704
Ho 0.000 4.979 3.479
Ho 0.000 4.219 6.608
Ho 1.729 1.844 3.832
Ho 1.729 6.368 0.450
O 0.000 2.388 7.853
O 1.729 0.000 0.000
O 1.730 4.435 -0.541
O 1.729 5.082 5.215
O 0.000 2.810 4.821
O 1.729 4.013 2.491
O 0.000 1.742 2.097
O 1.730 0.402 5.535
O 0.000 6.422 1.777



(4)
40
Lattice="8.593 0.000 -3.038 -4.296 7.442 -3.038 0.000 0.000 9.114" Properties=species:S:1:pos:R:3 comment="Ho2O3 (r²SCAN, optimized geometry)" dft_energy_ev_per_atom=-20.69 crystal_system=cubic e_form_ev_per_atom=-3.953 spacegroup="Ia-3 (206)" pbc="T T T"
Ho 3.083 5.822 -4.361
Ho 2.945 1.860 4.361
Ho 4.158 3.480 -1.323
Ho -2.945 5.581 4.753
Ho 6.583 0.241 4.361
Ho -0.935 5.341 1.323
Ho 5.232 2.101 1.715
Ho 7.241 1.860 -1.715
Ho -2.287 7.201 -1.323
Ho 1.352 5.581 -1.323
Ho 0.139 3.961 4.361
Ho 1.213 1.620 7.399
Ho -2.148 3.721 -1.519
Ho 4.296 0.000 -1.519
Ho 0.000 0.000 4.557
Ho 2.148 3.721 1.519
O 5.148 1.936 4.032
O 4.378 7.122 0.724
O 3.369 1.784 6.548
O 2.384 3.952 3.762
O 1.251 5.736 0.994
O 3.502 5.426 -2.190
O 5.096 5.416 3.886
O 6.127 3.810 -2.314
O -1.082 5.746 3.509
O 2.009 7.353 3.510
O -2.103 7.211 0.994
O 4.291 4.041 0.848
O -0.800 2.025 -0.848
O 6.399 0.231 2.044
O 5.378 1.696 -0.471
O 3.045 1.705 2.044
O 1.912 3.490 -0.725
O 0.794 2.015 5.228
O 0.928 5.657 -3.509
O 2.287 0.089 -0.471
O -0.851 5.505 -0.994
O -1.830 3.632 5.352
O -0.082 0.320 2.313
O 0.006 3.401 2.190